(1)
This record from Materials Project describes a relaxed structure of Nd2Ni12P5. The functional is PBE.

Results
formation energy from the elements: -685.2 meV per atom

Lattice parameters (Å, degrees): 10.8576 3.6711 13.1519 90.00 107.97 90.00
Closest atoms and distances in Å follow each position.
Fractional positions:
Nd 0.2200 0.2500 0.1830  4 P 2.97-3.00, 12 Ni 2.98-3.25
Nd 0.2525 0.2500 0.6870  7 P 3.06-3.12, 11 Ni 3.20-3.40
Nd 0.7475 0.7500 0.3130  7 P 3.06-3.12, 11 Ni 3.20-3.40
Nd 0.7800 0.7500 0.8170  4 P 2.97-3.00, 12 Ni 2.98-3.25
Ni 0.0626 0.7500 0.2964  3 P 2.19-2.32
Ni 0.0793 0.7500 0.9904  3 P 2.19-2.33
Ni 0.0819 0.7500 0.4918  4 P 2.19-2.43
Ni 0.0961 0.7500 0.8044  4 P 2.21-2.42
Ni 0.2015 0.2500 0.4184  3 P 2.17-2.30, 1 Ni 2.40
Ni 0.2120 0.2500 0.9381  3 P 2.13-2.32, 1 Ni 2.38
Ni 0.3419 0.7500 0.0619  2 P 2.21-2.28
Ni 0.3426 0.7500 0.3643  2 P 2.20-2.28
Ni 0.4285 0.2500 0.5147  2 P 2.32, 6 Ni 2.40-2.51
Ni 0.4341 0.2500 0.9478  2 P 2.27, 6 Ni 2.38-2.51
Ni 0.4885 0.7500 0.6507  3 P 2.26-2.30, 3 Ni 2.48-2.50
Ni 0.4926 0.7500 0.8403  3 P 2.25-2.30, 3 Ni 2.48-2.51
Ni 0.5074 0.2500 0.1597  3 P 2.25-2.30, 3 Ni 2.48-2.51
Ni 0.5115 0.2500 0.3493  3 P 2.26-2.30, 3 Ni 2.48-2.50
Ni 0.5659 0.7500 0.0522  2 P 2.27, 6 Ni 2.38-2.51
Ni 0.5715 0.7500 0.4853  2 P 2.32, 6 Ni 2.40-2.51
Ni 0.6574 0.2500 0.6357  2 P 2.20-2.28
Ni 0.6581 0.2500 0.9381  2 P 2.21-2.28
Ni 0.7880 0.7500 0.0619  3 P 2.13-2.32, 1 Ni 2.38
Ni 0.7985 0.7500 0.5816  3 P 2.17-2.30, 1 Ni 2.40
Ni 0.9039 0.2500 0.1956  4 P 2.21-2.42
Ni 0.9181 0.2500 0.5082  4 P 2.19-2.43
Ni 0.9207 0.2500 0.0096  3 P 2.19-2.33
Ni 0.9374 0.2500 0.7036  3 P 2.19-2.32
P 0.0058 0.2500 0.8784  5 Ni 2.13-2.33
P 0.0082 0.7500 0.6291  5 Ni 2.17-2.32
P 0.2988 0.7500 0.5166  7 Ni 2.20-2.32
P 0.3107 0.7500 0.8880  7 Ni 2.21-2.32
P 0.4500 0.7500 0.2401  6 Ni 2.28-2.30
P 0.5500 0.2500 0.7599  6 Ni 2.28-2.30
P 0.6893 0.2500 0.1120  7 Ni 2.21-2.32
P 0.7012 0.2500 0.4834  7 Ni 2.20-2.32
P 0.9918 0.2500 0.3709  5 Ni 2.17-2.32
P 0.9942 0.7500 0.1216  5 Ni 2.13-2.33

***

(2)
This record from Materials Project describes a relaxed structure of MgTe2Mo2WSe2S2. The functional is PBE.

Results
magnetization: 0.061 Bohr magnetons per cell
formation energy from the elements: -509.5 meV per atom
relative energy among the computed polymorphs: 0 meV per atom

Lattice parameters (Å, degrees): 3.3638 3.3638 35.2797 90.24 90.24 59.99
Closest atoms and distances in Å follow each position.
Fractional positions:
Mg 0.0000 0.0000 0.0000  1 S 2.67
Te 0.0026 0.0026 0.4021  3 W 2.72
Te 0.9993 0.9993 0.2945  3 W 2.72
Mo 0.6678 0.6678 0.8816  6 S 2.45-2.46
Mo 0.9990 0.9990 0.1243  6 Se 2.55-2.57
W 0.6677 0.6677 0.3483  6 Te 2.72
Se 0.6644 0.6644 0.0767  3 Mo 2.57
Se 0.6670 0.6670 0.1712  3 Mo 2.55
S 0.9998 0.9998 0.8391  3 Mo 2.45
S 0.0024 0.0024 0.9242  3 Mo 2.46, 1 Mg 2.67

***

(3)
This record from Materials Project describes a relaxed structure of NbPCl8O. The functional is PBE.

Results
formation energy from the elements: -1247.2 meV per atom

Lattice parameters (Å, degrees): 17.1248 8.6223 9.2797 90.00 90.00 90.00
Closest atoms and distances in Å follow each position.
Fractional positions:
Nb 0.1476 0.2500 0.0842  1 O 2.27, 5 Cl 2.29-2.39
Nb 0.3524 0.7500 0.5842  1 O 2.27, 5 Cl 2.29-2.39
Nb 0.6476 0.2500 0.4158  1 O 2.27, 5 Cl 2.29-2.39
Nb 0.8524 0.7500 0.9158  1 O 2.27, 5 Cl 2.29-2.39
P 0.0765 0.2500 0.7165  1 O 1.49
P 0.4235 0.7500 0.2165  1 O 1.49
P 0.5765 0.2500 0.7835  1 O 1.49
P 0.9235 0.7500 0.2835  1 O 1.49
Cl 0.0263 0.2500 0.2022  1 Nb 2.35
Cl 0.0317 0.7500 0.3594  1 P 1.98
Cl 0.1288 0.0662 0.6310  1 P 1.99
Cl 0.1288 0.4338 0.6310  1 P 1.99
Cl 0.1397 0.5204 0.0575  1 Nb 2.35
Cl 0.1397 0.9796 0.0575  1 Nb 2.35
Cl 0.2220 0.2500 0.2893  1 Nb 2.29
Cl 0.2411 0.7500 0.4287  1 Nb 2.39
Cl 0.2589 0.2500 0.9287  1 Nb 2.39
Cl 0.2780 0.7500 0.7893  1 Nb 2.29
Cl 0.3603 0.0204 0.5575  1 Nb 2.35
Cl 0.3603 0.4796 0.5575  1 Nb 2.35
Cl 0.3712 0.5662 0.1310  1 P 1.99
Cl 0.3712 0.9338 0.1310  1 P 1.99
Cl 0.4683 0.2500 0.8594  1 P 1.98
Cl 0.4737 0.7500 0.7022  1 Nb 2.35
Cl 0.5263 0.2500 0.2978  1 Nb 2.35
Cl 0.5317 0.7500 0.1406  1 P 1.98
Cl 0.6288 0.0662 0.8690  1 P 1.99
Cl 0.6288 0.4338 0.8690  1 P 1.99
Cl 0.6397 0.5204 0.4425  1 Nb 2.35
Cl 0.6397 0.9796 0.4425  1 Nb 2.35
Cl 0.7220 0.2500 0.2107  1 Nb 2.29
Cl 0.7411 0.7500 0.0713  1 Nb 2.39
Cl 0.7589 0.2500 0.5713  1 Nb 2.39
Cl 0.7780 0.7500 0.7107  1 Nb 2.29
Cl 0.8603 0.0204 0.9425  1 Nb 2.35
Cl 0.8603 0.4796 0.9425  1 Nb 2.35
Cl 0.8712 0.5662 0.3690  1 P 1.99
Cl 0.8712 0.9338 0.3690  1 P 1.99
Cl 0.9683 0.2500 0.6406  1 P 1.98
Cl 0.9737 0.7500 0.7978  1 Nb 2.35
O 0.0770 0.2500 0.8768  1 P 1.49
O 0.4230 0.7500 0.3768  1 P 1.49
O 0.5770 0.2500 0.6232  1 P 1.49
O 0.9230 0.7500 0.1232  1 P 1.49

***

(4)
This record from Materials Project describes a relaxed structure of HoCo3B2. The functional is PBE.

Results
formation energy from the elements: -508.1 meV per atom

Lattice parameters (Å, degrees): 4.9808 4.9808 3.0288 90.00 90.00 120.00
Closest atoms and distances in Å follow each position.
Fractional positions:
Ho 0.0000 0.0000 0.0000  6 B 2.88, 12 Co 2.91, 2 Ho 3.03
Co 0.0000 0.5000 0.5000  4 B 2.09
Co 0.5000 0.0000 0.5000  4 B 2.09
Co 0.5000 0.5000 0.5000  4 B 2.09
B 0.3333 0.6667 0.0000  6 Co 2.09
B 0.6667 0.3333 0.0000  6 Co 2.09

***

(5)
This record from Materials Project describes a relaxed structure of CeI4O13. The functional is PBE.

Results
magnetization: 8.001 Bohr magnetons per cell
formation energy from the elements: -1155.3 meV per atom

Lattice parameters (Å, degrees): 8.1212 15.0609 11.8443 90.00 125.12 90.00
Closest atoms and distances in Å follow each position.
Fractional positions:
Ce 0.0874 0.2372 0.1208  7 O 2.26-2.41
Ce 0.0874 0.2628 0.6208  7 O 2.26-2.41
Ce 0.9126 0.7372 0.3792  7 O 2.26-2.41
Ce 0.9126 0.7628 0.8792  7 O 2.26-2.41
I 0.0680 0.0758 0.8327  3 O 1.83-1.85
I 0.0680 0.4242 0.3327  3 O 1.83-1.85
I 0.2157 0.0844 0.4318  3 O 1.84-1.86
I 0.2157 0.4156 0.9318  3 O 1.84-1.86
I 0.3619 0.6206 0.2112  3 O 1.82-1.86
I 0.3619 0.8794 0.7112  3 O 1.82-1.86
I 0.3983 0.6170 0.6291  3 O 1.83-1.85
I 0.3983 0.8830 0.1291  3 O 1.83-1.85
I 0.6017 0.1170 0.8709  3 O 1.83-1.85
I 0.6017 0.3830 0.3709  3 O 1.83-1.85
I 0.6381 0.1206 0.2888  3 O 1.82-1.86
I 0.6381 0.3794 0.7888  3 O 1.82-1.86
I 0.7843 0.5844 0.0682  3 O 1.84-1.86
I 0.7843 0.9156 0.5682  3 O 1.84-1.86
I 0.9320 0.5758 0.6673  3 O 1.83-1.85
I 0.9320 0.9242 0.1673  3 O 1.83-1.85
O 0.0348 0.5342 0.1503  1 I 1.84
O 0.0348 0.9658 0.6503  1 I 1.84
O 0.0401 0.6545 0.8134  1 I 1.85
O 0.0401 0.8455 0.3134  1 I 1.85
O 0.0673 0.1508 0.9555  1 I 1.85
O 0.0673 0.3492 0.4555  1 I 1.85
O 0.1323 0.1810 0.3156  1 I 1.84
O 0.1323 0.3190 0.8156  1 I 1.84
O 0.1627 0.5164 0.7211  1 I 1.83
O 0.1627 0.9836 0.2211  1 I 1.83
O 0.1859 0.6368 0.4480  1 I 1.85
O 0.1859 0.8632 0.9480  1 I 1.85
O 0.1991 0.7104 0.0905  1 I 1.86
O 0.1991 0.7896 0.5905  1 I 1.86
O 0.2348 0.1417 0.5777  1 I 1.86
O 0.2348 0.3583 0.0777  1 I 1.86
O 0.3701 0.5449 0.0946  1 I 1.82
O 0.3701 0.9551 0.5946  1 I 1.82
O 0.3932 0.1671 0.8695  1 I 1.84
O 0.3932 0.3329 0.3695  1 I 1.84
O 0.3999 0.1799 0.2240  1 I 1.85
O 0.3999 0.3201 0.7240  1 I 1.85
O 0.4348 0.5007 0.6051  1 I 1.83
O 0.4348 0.9993 0.1051  1 I 1.83
O 0.4496 0.7314 0.9221  1 O 2.54
O 0.4496 0.7686 0.4221  1 O 2.54
O 0.5504 0.2314 0.5779  1 O 2.54
O 0.5504 0.2686 0.0779  1 O 2.54
O 0.5652 0.0007 0.8949  1 I 1.83
O 0.5652 0.4993 0.3949  1 I 1.83
O 0.6001 0.6799 0.2760  1 I 1.85
O 0.6001 0.8201 0.7760  1 I 1.85
O 0.6068 0.6671 0.6305  1 I 1.84
O 0.6068 0.8329 0.1305  1 I 1.84
O 0.6299 0.0449 0.4054  1 I 1.82
O 0.6299 0.4551 0.9054  1 I 1.82
O 0.7652 0.6417 0.9223  1 I 1.86
O 0.7652 0.8583 0.4223  1 I 1.86
O 0.8009 0.2104 0.4095  1 I 1.86
O 0.8009 0.2896 0.9095  1 I 1.86
O 0.8141 0.1368 0.0520  1 I 1.85
O 0.8141 0.3632 0.5520  1 I 1.85
O 0.8373 0.0164 0.7789  1 I 1.83
O 0.8373 0.4836 0.2789  1 I 1.83
O 0.8677 0.6810 0.1844  1 I 1.84
O 0.8677 0.8190 0.6844  1 I 1.84
O 0.9327 0.6508 0.5445  1 I 1.85
O 0.9327 0.8492 0.0445  1 I 1.85
O 0.9599 0.1545 0.6866  1 I 1.85
O 0.9599 0.3455 0.1866  1 I 1.85
O 0.9652 0.0342 0.3497  1 I 1.84
O 0.9652 0.4658 0.8497  1 I 1.84